[1]
CrP4O11 PBE with a Hubbard U relaxed; spin magnetization = 0.25 μB per atom; distance to the lowest polymorph of the same formula = 0.004 eV/atom
1.0
12.6313 0.0000 0.0000
0.0000 8.5079 0.0000
0.0000 7.7620 8.4849
Cr P O
4 16 44
direct
0.4676 0.4895 0.7381
0.9676 0.5105 0.7619
0.0324 0.4895 0.2381
0.5324 0.5105 0.2619
0.2114 0.4996 0.6013
0.1658 0.8546 0.2639
0.4957 0.8418 0.3411
0.8469 0.8455 0.4009
0.3469 0.1545 0.0991
0.9957 0.1582 0.1589
0.7114 0.5004 0.8987
0.6658 0.1454 0.2361
0.3342 0.8546 0.7639
0.2886 0.4996 0.1013
0.0043 0.8418 0.8411
0.6531 0.8455 0.9009
0.1531 0.1545 0.5991
0.5043 0.1582 0.6589
0.8342 0.1454 0.7361
0.7886 0.5004 0.3987
0.8961 0.2704 0.7571
0.4682 0.7165 0.2989
0.7818 0.6666 0.4276
0.1031 0.4983 0.6514
0.3083 0.4650 0.6881
0.4161 0.2218 0.9685
0.2332 0.7242 0.4199
0.2561 0.9965 0.1313
0.9062 0.9668 0.2389
0.6008 0.9857 0.2365
0.5124 0.7500 0.5053
0.0124 0.2500 0.9947
0.1008 0.0143 0.2635
0.9161 0.7782 0.5315
0.8083 0.5350 0.8119
0.4062 0.0332 0.2611
0.6031 0.5017 0.8486
0.7561 0.0035 0.3687
0.7332 0.2758 0.0801
0.2818 0.3334 0.0724
0.3961 0.7296 0.7429
0.0318 0.7165 0.7989
0.9682 0.2835 0.2011
0.6039 0.2704 0.2571
0.7182 0.6666 0.9276
0.2668 0.7242 0.9199
0.2439 0.9965 0.6313
0.3969 0.4983 0.1514
0.5938 0.9668 0.7389
0.1917 0.4650 0.1881
0.0839 0.2218 0.4685
0.8992 0.9857 0.7365
0.9876 0.7500 0.0053
0.4876 0.2500 0.4947
0.3992 0.0143 0.7635
0.0938 0.0332 0.7611
0.7439 0.0035 0.8687
0.7668 0.2758 0.5801
0.5839 0.7782 0.0315
0.6917 0.5350 0.3119
0.8969 0.5017 0.3486
0.2182 0.3334 0.5724
0.5318 0.2835 0.7011
0.1039 0.7296 0.2429

***

[2]
CrPO4 PBE with a Hubbard U relaxed; spin magnetization = 0.50 μB per atom
1.0
9.5808 0.0000 0.0000
0.0000 4.9646 0.0000
0.0000 4.7950 7.1565
Cr P O
4 4 16
direct
0.1257 0.7666 0.0447
0.3743 0.7666 0.5447
0.8743 0.2334 0.9553
0.6257 0.2334 0.4553
0.4113 0.5954 0.2499
0.5887 0.4046 0.7501
0.0887 0.5954 0.7499
0.9113 0.4046 0.2501
0.6769 0.3601 0.9091
0.1769 0.6399 0.5909
0.3669 0.8369 0.2994
0.5717 0.6094 0.2120
0.4283 0.3906 0.7880
0.0949 0.2386 0.9398
0.3231 0.6399 0.0909
0.8669 0.1631 0.2006
0.4051 0.2386 0.4398
0.6331 0.1631 0.7006
0.9051 0.7614 0.0602
0.8231 0.3601 0.4091
0.0717 0.3906 0.2880
0.9283 0.6094 0.7120
0.5949 0.7614 0.5602
0.1331 0.8369 0.7994

***

[3]
Cr3P4O14 PBE with a Hubbard U relaxed; spin magnetization = 0.48 μB per atom; distance to the lowest polymorph of the same formula = 0.000 eV/atom
1.0
-3.0895 -1.0919 3.5080
-1.1375 -7.3975 -2.8918
9.7051 -4.4303 7.2464
Cr P O
6 8 28
direct
0.7658 0.9910 0.7323
0.7149 0.4896 0.7624
0.0000 0.0000 0.5000
0.2342 0.0090 0.2677
0.2851 0.5104 0.2376
0.5000 0.5000 0.0000
0.2415 0.2381 0.8441
0.2334 0.7061 0.6505
0.7666 0.2939 0.3495
0.5055 0.2526 0.5613
0.7585 0.7619 0.1559
0.0281 0.2505 0.0624
0.4945 0.7474 0.4387
0.9719 0.7495 0.9376
0.6557 0.3391 0.4645
0.2114 0.2070 0.5338
0.0593 0.1181 0.1436
0.9407 0.8819 0.8564
0.0179 0.5814 0.6784
0.8125 0.8219 0.0383
0.3161 0.9109 0.4151
0.5917 0.5974 0.1404
0.4745 0.6245 0.3515
0.6839 0.0891 0.5849
0.9600 0.2795 0.7924
0.5906 0.8996 0.2064
0.3443 0.6609 0.5355
0.2696 0.7019 0.9667
0.1914 0.4117 0.0923
0.0400 0.7205 0.2076
0.4094 0.1004 0.7936
0.7304 0.2981 0.0333
0.1875 0.1781 0.9617
0.9821 0.4186 0.3216
0.5255 0.3755 0.6485
0.7886 0.7930 0.4662
0.4083 0.4026 0.8596
0.8086 0.5883 0.9077
0.8957 0.1122 0.3619
0.5142 0.2969 0.2766
0.1043 0.8878 0.6381
0.4858 0.7031 0.7234

***

[4]
CrP3O9 PBE with a Hubbard U relaxed; spin magnetization = 0.23 μB per atom; distance to the lowest polymorph of the same formula = 0.036 eV/atom; maximum piezoelectric response = 0.1 C/m²
1.0
-1.2928 7.2302 -4.1550
-8.4121 -0.6711 1.4496
0.9139 4.3753 7.3291
Cr P O
4 12 36
direct
0.1315 0.8557 0.1529
0.3685 0.1443 0.6529
0.6315 0.6443 0.8471
0.8685 0.3557 0.3471
0.0332 0.3223 0.6855
0.1816 0.4842 0.1904
0.2058 0.8102 0.5534
0.2942 0.1898 0.0534
0.3184 0.5158 0.6904
0.4668 0.6777 0.1855
0.5332 0.1777 0.3145
0.6816 0.0158 0.8096
0.7058 0.6898 0.4466
0.7942 0.3102 0.9466
0.8184 0.9842 0.3096
0.9668 0.8223 0.8145
0.0456 0.7788 0.6510
0.0971 0.6242 0.1261
0.0951 0.8740 0.9235
0.1043 0.3987 0.3236
0.1373 0.1893 0.6347
0.1407 0.4690 0.7409
0.1570 0.8456 0.3900
0.1853 0.0838 0.1423
0.2169 0.3628 0.0513
0.2831 0.6372 0.5513
0.3147 0.9162 0.6423
0.3430 0.1544 0.8900
0.3593 0.5310 0.2409
0.3627 0.8107 0.1347
0.3957 0.6013 0.8236
0.4049 0.1260 0.4235
0.4029 0.3758 0.6261
0.4544 0.2212 0.1510
0.5456 0.7212 0.3490
0.5971 0.8758 0.8739
0.5951 0.6260 0.0765
0.6043 0.1013 0.6764
0.6373 0.3107 0.3653
0.6407 0.0310 0.2591
0.6570 0.6544 0.6100
0.6853 0.4162 0.8577
0.7169 0.1372 0.9487
0.7831 0.8628 0.4487
0.8147 0.5838 0.3577
0.8430 0.3456 0.1100
0.8593 0.9690 0.7591
0.8627 0.6893 0.8653
0.8957 0.8987 0.1764
0.9049 0.3740 0.5765
0.9029 0.1242 0.3739
0.9544 0.2788 0.8490

***

[5]
Cr2P3O12 PBE with a Hubbard U relaxed; spin magnetization = 0.18 μB per atom; distance to the lowest polymorph of the same formula = 0.001 eV/atom
1.0
-4.5049 2.0427 6.7387
-8.2395 1.2352 -0.7216
2.7125 -7.2121 4.0074
Cr P O
4 6 24
direct
0.3525 0.7821 0.9214
0.1468 0.2129 0.5653
0.6475 0.2179 0.0786
0.8532 0.7871 0.4347
0.2527 0.2802 0.2514
0.7473 0.7198 0.7486
0.0304 0.0055 0.7535
0.4688 0.2828 0.7426
0.5312 0.7172 0.2574
0.9696 0.9945 0.2465
0.2873 0.2306 0.4045
0.2884 0.0782 0.0740
0.0103 0.1660 0.7022
0.6008 0.6700 0.7785
0.9891 0.8417 0.6138
0.0464 0.4766 0.3047
0.2989 0.2539 0.7293
0.3547 0.8988 0.4303
0.0109 0.1583 0.3862
0.5193 0.2950 0.9157
0.9536 0.5234 0.6953
0.8862 0.1419 0.9463
0.7127 0.7694 0.5955
0.9897 0.8340 0.2978
0.6453 0.1012 0.5697
0.7116 0.9218 0.9260
0.6000 0.4997 0.2416
0.2371 0.8699 0.7589
0.3992 0.3300 0.2215
0.7629 0.1301 0.2411
0.4807 0.7050 0.0843
0.7011 0.7461 0.2707
0.4000 0.5003 0.7584
0.1138 0.8581 0.0537

***

[6]
Cr3P4O15 PBE with a Hubbard U relaxed; spin magnetization = 0.09 μB per atom
1.0
6.4184 0.0000 0.0000
0.0000 10.6378 0.0000
0.0000 0.0000 17.4524
Cr P O
12 16 60
direct
0.0819 0.5064 0.1331
0.1048 0.9977 0.1659
0.8163 0.2608 0.2480
0.3163 0.7608 0.2520
0.6048 0.4977 0.3341
0.5819 0.0064 0.3669
0.0819 0.9936 0.6331
0.1048 0.5023 0.6659
0.8163 0.2392 0.7480
0.3163 0.7392 0.7520
0.6048 0.0023 0.8341
0.5819 0.4936 0.8669
0.1458 0.7716 0.0529
0.9624 0.2364 0.0743
0.5828 0.5188 0.1778
0.5980 0.0005 0.2076
0.0980 0.5005 0.2924
0.0828 0.0188 0.3222
0.4624 0.7364 0.4257
0.6458 0.2716 0.4471
0.1458 0.7284 0.5529
0.9624 0.2636 0.5743
0.5828 0.9812 0.6778
0.5980 0.4995 0.7076
0.0980 0.9995 0.7924
0.0828 0.4812 0.8222
0.4624 0.7636 0.9257
0.6458 0.2284 0.9471
0.9824 0.8548 0.0174
0.3637 0.7876 0.0081
0.0986 0.6310 0.0512
0.0797 0.3612 0.0658
0.1065 0.1242 0.0853
0.7910 0.2417 0.1363
0.3922 0.5021 0.1284
0.7789 0.5413 0.1318
0.2017 0.8158 0.1365
0.4103 0.0235 0.1575
0.7952 0.9703 0.1638
0.5495 0.6253 0.2421
0.6115 0.4026 0.2350
0.1231 0.6145 0.2330
0.0470 0.3931 0.2307
0.5470 0.8931 0.2693
0.6231 0.1145 0.2670
0.1115 0.9026 0.2650
0.0495 0.1253 0.2579
0.2952 0.4703 0.3362
0.9103 0.5235 0.3425
0.7017 0.3158 0.3635
0.2789 0.0413 0.3682
0.8922 0.0021 0.3716
0.2910 0.7417 0.3637
0.6065 0.6242 0.4147
0.5797 0.8612 0.4342
0.5986 0.1310 0.4488
0.8637 0.2876 0.4919
0.4824 0.3548 0.4826
0.9824 0.6452 0.5174
0.3637 0.7124 0.5081
0.0986 0.8690 0.5512
0.0797 0.1388 0.5658
0.1065 0.3758 0.5853
0.7910 0.2583 0.6363
0.3922 0.9979 0.6284
0.7789 0.9587 0.6318
0.2017 0.6842 0.6365
0.4103 0.4765 0.6575
0.7952 0.5297 0.6638
0.5495 0.8747 0.7421
0.6115 0.0974 0.7350
0.1231 0.8855 0.7330
0.0470 0.1069 0.7307
0.5470 0.6069 0.7693
0.6231 0.3855 0.7670
0.1115 0.5974 0.7650
0.0495 0.3747 0.7579
0.2952 0.0297 0.8362
0.9103 0.9765 0.8425
0.7017 0.1842 0.8635
0.2789 0.4587 0.8682
0.8922 0.4979 0.8716
0.2910 0.7583 0.8637
0.6065 0.8758 0.9147
0.5797 0.6388 0.9342
0.5986 0.3690 0.9488
0.8637 0.2124 0.9919
0.4824 0.1452 0.9826

***

no.,total energy after the MP2020 corrections (eV for the cell shown),energy of formation (meV/atom)
1,-504.0,-2517
2,-197.6,-2423
3,-348.3,-2583
4,-416.1,-2584
5,-268.5,-2314
6,-715.5,-2457